No. 1
The following is a r2SCAN calculation of a geometry-optimized YbCe3 structure, from the Materials Project.

Results
- SG: P6_3/mmc, No. 194
- ΔE_f: 2.50 kcal/mol of atoms
- Total energy: -32.15 eV/atom

Cell lengths 7.0502, 7.0502, 5.7700 Å; angles 90.00, 90.00, 120.00 degrees
Sites, in units of the cell vectors:
1 Yb 0.3333 0.6667 0.7500
2 Yb 0.6667 0.3333 0.2500
3 Ce 0.1662 0.3325 0.2500
4 Ce 0.6675 0.8338 0.2500
5 Ce 0.1662 0.8338 0.2500
6 Ce 0.8338 0.6675 0.7500
7 Ce 0.3325 0.1662 0.7500
8 Ce 0.8338 0.1662 0.7500

No. 2
The following is a r2SCAN calculation of a geometry-optimized Sc3Re2Si4 structure, from the Materials Project.

Results
- SG: C2/c, No. 15
- ΔE_f: -17.40 kcal/mol of atoms
- Total energy: -20.10 eV/atom

Cell lengths 10.1563, 10.1563, 13.6931 Å; angles 55.96, 55.96, 30.59 degrees
Sites, in units of the cell vectors:
1 Sc 0.7516 0.4811 0.0466
2 Sc 0.5322 0.3031 0.1591
3 Sc 0.5189 0.2484 0.4534
4 Sc 0.4678 0.6969 0.8409
5 Sc 0.2928 0.0366 0.1383
6 Sc 0.9634 0.7072 0.3617
7 Sc 0.7072 0.9634 0.8617
8 Sc 0.0366 0.2928 0.6383
9 Sc 0.2484 0.5189 0.9534
10 Sc 0.4811 0.7516 0.5466
11 Sc 0.3031 0.5322 0.6591
12 Sc 0.6969 0.4678 0.3409
13 Re 0.6441 0.8271 0.2830
14 Re 0.8271 0.6441 0.7830
15 Re 0.3559 0.1729 0.7170
16 Re 0.1729 0.3559 0.2170
17 Re 0.1377 0.9127 0.0764
18 Re 0.0873 0.8623 0.4236
19 Re 0.8623 0.0873 0.9236
20 Re 0.9127 0.1377 0.5764
21 Si 0.8913 0.1087 0.2500
22 Si 0.1087 0.8913 0.7500
23 Si 0.3574 0.6426 0.2500
24 Si 0.6426 0.3574 0.7500
25 Si 0.0033 0.2284 0.8748
26 Si 0.7716 0.9967 0.6252
27 Si 0.9967 0.7716 0.1252
28 Si 0.2284 0.0033 0.3748
29 Si 0.6026 0.0492 0.0728
30 Si 0.9508 0.3974 0.4272
31 Si 0.3974 0.9508 0.9272
32 Si 0.0492 0.6026 0.5728
33 Si 0.3906 0.1527 0.3900
34 Si 0.8473 0.6094 0.1100
35 Si 0.6094 0.8473 0.6100
36 Si 0.1527 0.3906 0.8900

No. 3
The following is a r2SCAN calculation of a geometry-optimized MgIn structure, from the Materials Project.

Results
- SG: Pm-3m, No. 221
- ΔE_f: -2.48 kcal/mol of atoms
- Total energy: -13.48 eV/atom

Cell lengths 3.5744, 3.5744, 3.5654 Å; angles 90.00, 90.00, 90.00 degrees
Sites, in units of the cell vectors:
1 Mg 0.5000 0.5000 0.5000
2 In 0.0000 0.0000 0.0000

No. 4
The following is a r2SCAN calculation of a geometry-optimized Cr8Co7 structure, from the Materials Project.

Results
- SG: P4_2nm, No. 102
- ΔE_f: 6.66 kcal/mol of atoms
- Total energy: -13.93 eV/atom

Cell lengths 4.6918, 8.6944, 8.6944 Å; angles 90.00, 90.00, 90.00 degrees
Sites, in units of the cell vectors:
1 Cr 0.5014 0.3602 0.9609
2 Cr 0.5014 0.6398 0.0391
3 Cr 0.0014 0.1398 0.4609
4 Cr 0.0014 0.8602 0.5391
5 Cr 0.5014 0.9609 0.3602
6 Cr 0.5014 0.0391 0.6398
7 Cr 0.0014 0.4609 0.1398
8 Cr 0.0014 0.5391 0.8602
9 Cr 0.4942 0.1032 0.8968
10 Cr 0.4942 0.8968 0.1032
11 Cr 0.9942 0.3968 0.3968
12 Cr 0.9942 0.6032 0.6032
13 Cr 0.7502 0.6903 0.3097
14 Cr 0.7502 0.3097 0.6903
15 Cr 0.2502 0.8097 0.8097
16 Cr 0.2502 0.1903 0.1903
17 Co 0.5035 0.2424 0.4381
18 Co 0.5035 0.7576 0.5619
19 Co 0.0035 0.2576 0.9381
20 Co 0.0035 0.7424 0.0619
21 Co 0.5035 0.4381 0.2424
22 Co 0.5035 0.5619 0.7576
23 Co 0.0035 0.9381 0.2576
24 Co 0.0035 0.0619 0.7424
25 Co 0.4956 0.5000 0.5000
26 Co 0.9956 0.0000 0.0000
27 Co 0.2480 0.3156 0.6844
28 Co 0.2480 0.6844 0.3156
29 Co 0.7480 0.1844 0.1844
30 Co 0.7480 0.8156 0.8156